No. 1
Entry from Materials Project: a relaxed InGeCl3 crystal (r2SCAN).

Structure (CIF):
```
data_InGeCl3
_chemical_formula_sum 'In6 Ge6 Cl18'
_space_group_name_H-M_alt 'R 3 c'
_space_group_IT_number 161
_space_group_name_Hall 'R 3 -2"c'
_cell_length_a 8.1232
_cell_length_b 8.1232
_cell_length_c 16.2743
_cell_angle_alpha 90.00
_cell_angle_beta 90.00
_cell_angle_gamma 120.00
loop_
_atom_site_label
_atom_site_type_symbol
_atom_site_fract_x
_atom_site_fract_y
_atom_site_fract_z
_atom_site_occupancy
In1 In 0.0000 0.0000 0.0000 1
Ge1 Ge 0.0000 0.0000 0.2686 1
Cl1 Cl 0.0272 0.2540 0.3497 1
```

Results
E_form in kJ/mol of formula units: -412.2

No. 2
Entry from Materials Project: a relaxed La3Ge3Cl2 crystal (r2SCAN).

Structure (CIF):
```
data_La3Ge3Cl2
_chemical_formula_sum 'La12 Ge12 Cl8'
_space_group_name_H-M_alt 'C 1 2/m 1'
_space_group_IT_number 12
_cell_length_a 18.160
_cell_length_b 4.325
_cell_length_c 10.786
_cell_angle_alpha 90.00
_cell_angle_beta 98.25
_cell_angle_gamma 90.00
loop_
_space_group_symop_operation_xyz
'x,y,z'
'-x,-y,-z'
'-x,y,-z'
'x,-y,z'
'x+1/2,y+1/2,z'
'-x+1/2,-y+1/2,-z'
'-x+1/2,y+1/2,-z'
'x+1/2,-y+1/2,z'
loop_
_atom_site_label
_atom_site_type_symbol
_atom_site_fract_x
_atom_site_fract_y
_atom_site_fract_z
_atom_site_occupancy
La1 La 0.033 0.000 0.331 1
La2 La 0.117 0.000 0.991 1
La3 La 0.183 0.000 0.648 1
Ge1 Ge 0.024 0.500 0.116 1
Ge2 Ge 0.069 0.500 0.545 1
Ge3 Ge 0.095 0.500 0.782 1
Cl1 Cl 0.202 0.000 0.373 1
Cl2 Cl 0.226 0.500 0.107 1
```

Results
E_form in kJ/mol of formula units: -1204.6

No. 3
Entry from Materials Project: a relaxed TlGeCl3 crystal (r2SCAN).

Structure (CIF):
```
data_TlGeCl3
_chemical_formula_sum 'Tl2 Ge2 Cl6'
_space_group_name_H-M_alt 'P 1 21/m 1'
_space_group_IT_number 11
_cell_length_a 5.724
_cell_length_b 6.918
_cell_length_c 7.653
_cell_angle_alpha 90.00
_cell_angle_beta 104.36
_cell_angle_gamma 90.00
loop_
_space_group_symop_operation_xyz
'x,y,z'
'-x,-y,-z'
'-x,y+1/2,-z'
'x,-y+1/2,z'
loop_
_atom_site_label
_atom_site_type_symbol
_atom_site_fract_x
_atom_site_fract_y
_atom_site_fract_z
_atom_site_occupancy
Tl1 Tl 0.176 0.250 0.287 1
Ge1 Ge 0.413 0.250 0.880 1
Cl1 Cl 0.183 0.750 0.130 1
Cl2 Cl 0.304 0.003 0.671 1
```

Results
E_form in kJ/mol of formula units: -475.9

No. 4
Entry from Materials Project: a relaxed MgH4Cl2O2 crystal (r2SCAN).

Structure (CIF):
```
data_MgH4Cl2O2
_chemical_formula_sum 'Mg2 H8 Cl4 O4'
_space_group_name_H-M_alt 'C 1 2/m 1'
_space_group_IT_number 12
_cell_length_a 7.338
_cell_length_b 8.465
_cell_length_c 3.659
_cell_angle_alpha 90.00
_cell_angle_beta 99.87
_cell_angle_gamma 90.00
loop_
_space_group_symop_operation_xyz
'x,y,z'
'-x,-y,-z'
'-x,y,-z'
'x,-y,z'
'x+1/2,y+1/2,z'
'-x+1/2,-y+1/2,-z'
'-x+1/2,y+1/2,-z'
'x+1/2,-y+1/2,z'
loop_
_atom_site_label
_atom_site_type_symbol
_atom_site_fract_x
_atom_site_fract_y
_atom_site_fract_z
_atom_site_occupancy
Mg1 Mg 0.000 0.000 0.000 1
H1 H 0.085 0.307 0.163 1
Cl1 Cl 0.242 0.000 0.565 1
O1 O 0.000 0.238 0.000 1
```

Results
E_form in kJ/mol of formula units: -1252.5

No. 5
Entry from Materials Project: a relaxed H12PbN3Cl5 crystal (r2SCAN).

Structure (CIF):
```
data_H12PbN3Cl5
_chemical_formula_sum 'H48 Pb4 N12 Cl20'
_space_group_name_H-M_alt 'P n m a'
_space_group_IT_number 62
_cell_length_a 8.072
_cell_length_b 15.968
_cell_length_c 8.640
_cell_angle_alpha 90.00
_cell_angle_beta 90.00
_cell_angle_gamma 90.00
loop_
_space_group_symop_operation_xyz
'x,y,z'
'-x,-y,-z'
'-x+1/2,-y,z+1/2'
'x+1/2,y,-z+1/2'
'x+1/2,-y+1/2,-z+1/2'
'-x+1/2,y+1/2,z+1/2'
'-x,y+1/2,-z'
'x,-y+1/2,z'
loop_
_atom_site_label
_atom_site_type_symbol
_atom_site_fract_x
_atom_site_fract_y
_atom_site_fract_z
_atom_site_occupancy
H1 H 0.035 0.250 0.227 1
H2 H 0.041 0.750 0.593 1
H3 H 0.135 0.083 0.040 1
H4 H 0.136 0.198 0.365 1
H5 H 0.173 0.578 0.466 1
H6 H 0.207 0.557 0.654 1
H7 H 0.226 0.511 0.014 1
Pb1 Pb 0.128 0.750 0.173 1
N1 N 0.065 0.250 0.342 1
N2 N 0.246 0.051 0.043 1
Cl1 Cl 0.044 0.123 0.679 1
Cl2 Cl 0.133 0.619 0.881 1
Cl3 Cl 0.210 0.250 0.978 1
```

Results
E_form in kJ/mol of formula units: -1500.7

No. 6
Entry from Materials Project: a relaxed ScH3NCl3 crystal (r2SCAN).

Structure (CIF):
```
data_ScH3NCl3
_chemical_formula_sum 'Sc4 H12 N4 Cl12'
_space_group_name_H-M_alt 'P -1'
_space_group_IT_number 2
_cell_length_a 7.061
_cell_length_b 9.201
_cell_length_c 9.294
_cell_angle_alpha 72.60
_cell_angle_beta 77.49
_cell_angle_gamma 79.78
loop_
_space_group_symop_operation_xyz
'x,y,z'
'-x,-y,-z'
loop_
_atom_site_label
_atom_site_type_symbol
_atom_site_fract_x
_atom_site_fract_y
_atom_site_fract_z
_atom_site_occupancy
Sc1 Sc 0.084 0.194 0.439 1
Sc2 Sc 0.400 0.309 0.051 1
H1 H 0.192 0.776 0.001 1
H2 H 0.259 0.409 0.506 1
H3 H 0.267 0.255 0.651 1
H4 H 0.271 0.762 0.158 1
H5 H 0.296 0.915 0.014 1
H6 H 0.429 0.264 0.495 1
N1 N 0.285 0.291 0.534 1
N2 N 0.304 0.798 0.041 1
Cl1 Cl 0.091 0.414 0.202 1
Cl2 Cl 0.106 0.957 0.658 1
Cl3 Cl 0.200 0.681 0.433 1
Cl4 Cl 0.237 0.189 0.924 1
Cl5 Cl 0.397 0.087 0.286 1
Cl6 Cl 0.415 0.548 0.835 1
```

Results
E_form in kJ/mol of formula units: -1099.8

No. 7
Entry from Materials Project: a relaxed H4WNCl6 crystal (r2SCAN).

Structure (CIF):
```
data_H4WNCl6
_chemical_formula_sum 'H16 W4 N4 Cl24'
_space_group_name_H-M_alt 'C 1 2/c 1'
_space_group_IT_number 15
_cell_length_a 11.720
_cell_length_b 6.420
_cell_length_c 11.905
_cell_angle_alpha 90.00
_cell_angle_beta 99.78
_cell_angle_gamma 90.00
loop_
_space_group_symop_operation_xyz
'x,y,z'
'-x,-y,-z'
'-x,y,-z+1/2'
'x,-y,z+1/2'
'x+1/2,y+1/2,z'
'-x+1/2,-y+1/2,-z'
'-x+1/2,y+1/2,-z+1/2'
'x+1/2,-y+1/2,z+1/2'
loop_
_atom_site_label
_atom_site_type_symbol
_atom_site_fract_x
_atom_site_fract_y
_atom_site_fract_z
_atom_site_occupancy
H1 H 0.029 0.000 0.319 1
H2 H 0.067 0.183 0.232 1
W1 W 0.250 0.250 0.000 1
N1 N 0.000 0.092 0.250 1
Cl1 Cl 0.082 0.392 0.899 1
Cl2 Cl 0.149 0.055 0.529 1
Cl3 Cl 0.206 0.393 0.170 1
```

Results
E_form in kJ/mol of formula units: -947.8

No. 8
Entry from Materials Project: a relaxed NaH4ClO2 crystal (r2SCAN).

Structure (CIF):
```
data_NaH4ClO2
_chemical_formula_sum 'Na4 H16 Cl4 O8'
_space_group_name_H-M_alt 'P 1 21/c 1'
_space_group_IT_number 14
_cell_length_a 6.330
_cell_length_b 10.024
_cell_length_c 6.429
_cell_angle_alpha 90.00
_cell_angle_beta 115.52
_cell_angle_gamma 90.00
loop_
_space_group_symop_operation_xyz
'x,y,z'
'-x,-y,-z'
'-x,y+1/2,-z+1/2'
'x,-y+1/2,z+1/2'
loop_
_atom_site_label
_atom_site_type_symbol
_atom_site_fract_x
_atom_site_fract_y
_atom_site_fract_z
_atom_site_occupancy
Na1 Na 0.018 0.169 0.453 1
H1 H 0.224 0.586 0.781 1
H2 H 0.254 0.042 0.888 1
H3 H 0.372 0.694 0.949 1
H4 H 0.386 0.522 0.256 1
Cl1 Cl 0.293 0.122 0.218 1
O1 O 0.215 0.677 0.831 1
O2 O 0.233 0.010 0.737 1
```

Results
E_form in kJ/mol of formula units: -991.9

No. 9
Entry from Materials Project: a relaxed Ni5H2Se6Cl4O16 crystal (r2SCAN).

Structure (CIF):
```
data_Ni5H2Se6Cl4O16
_chemical_formula_sum 'Ni20 H8 Se24 Cl16 O64'
_space_group_name_H-M_alt 'C 1 2/c 1'
_space_group_IT_number 15
_cell_length_a 21.732
_cell_length_b 8.386
_cell_length_c 12.631
_cell_angle_alpha 90.00
_cell_angle_beta 118.21
_cell_angle_gamma 90.00
loop_
_space_group_symop_operation_xyz
'x,y,z'
'-x,-y,-z'
'-x,y,-z+1/2'
'x,-y,z+1/2'
'x+1/2,y+1/2,z'
'-x+1/2,-y+1/2,-z'
'-x+1/2,y+1/2,-z+1/2'
'x+1/2,-y+1/2,z+1/2'
loop_
_atom_site_label
_atom_site_type_symbol
_atom_site_fract_x
_atom_site_fract_y
_atom_site_fract_z
_atom_site_occupancy
Ni1 Ni 0.000 0.000 0.000 1
Ni2 Ni 0.164 0.075 0.189 1
Ni3 Ni 0.243 0.205 0.875 1
H1 H 0.027 0.344 0.943 1
Se1 Se 0.097 0.195 0.899 1
Se2 Se 0.114 0.295 0.596 1
Se3 Se 0.179 0.428 0.292 1
Cl1 Cl 0.060 0.105 0.200 1
Cl2 Cl 0.238 0.072 0.402 1
O1 O 0.034 0.225 0.553 1
O2 O 0.070 0.374 0.938 1
O3 O 0.098 0.065 0.005 1
O4 O 0.107 0.445 0.694 1
O5 O 0.165 0.164 0.705 1
O6 O 0.182 0.255 0.953 1
O7 O 0.186 0.312 0.188 1
O8 O 0.247 0.442 0.833 1
```

Results
E_form in kJ/mol of formula units: -3026.8

No. 10
Entry from Materials Project: a relaxed HPbClO crystal (r2SCAN).

Structure (CIF):
```
data_HPbClO
_chemical_formula_sum 'H4 Pb4 Cl4 O4'
_space_group_name_H-M_alt 'C 1 2/m 1'
_space_group_IT_number 12
_cell_length_a 10.847
_cell_length_b 4.018
_cell_length_c 7.293
_cell_angle_alpha 90.00
_cell_angle_beta 116.75
_cell_angle_gamma 90.00
loop_
_space_group_symop_operation_xyz
'x,y,z'
'-x,-y,-z'
'-x,y,-z'
'x,-y,z'
'x+1/2,y+1/2,z'
'-x+1/2,-y+1/2,-z'
'-x+1/2,y+1/2,-z'
'x+1/2,-y+1/2,z'
loop_
_atom_site_label
_atom_site_type_symbol
_atom_site_fract_x
_atom_site_fract_y
_atom_site_fract_z
_atom_site_occupancy
H1 H 0.117 0.000 0.108 1
Pb1 Pb 0.174 0.000 0.741 1
Cl1 Cl 0.067 0.500 0.311 1
O1 O 0.199 0.000 0.087 1
```

Results
E_form in kJ/mol of formula units: -485.3

no.,mass density (kg/m3)
1,3148
2,5590
3,4337
4,1947
5,2616
6,2003
7,3120
8,1705
9,3821
10,6076